Entry 1:
GaBP2H5NO9: relaxed, GGA-PBE.

Lattice parameters (Å, degrees): 9.451 8.605 9.697 90.00 104.06 90.00
Atoms (fractional coordinates):
Ga 0.201 0.159 0.434
Ga 0.201 0.341 0.934
Ga 0.799 0.659 0.066
Ga 0.799 0.841 0.566
B 0.337 0.547 0.195
B 0.337 0.953 0.695
B 0.663 0.047 0.305
B 0.663 0.453 0.805
P 0.072 0.065 0.707
P 0.072 0.435 0.207
P 0.417 0.235 0.223
P 0.417 0.265 0.723
P 0.583 0.735 0.277
P 0.583 0.765 0.777
P 0.928 0.565 0.793
P 0.928 0.935 0.293
H 0.104 0.684 0.519
H 0.104 0.816 0.019
H 0.155 0.543 0.643
H 0.155 0.957 0.143
H 0.210 0.534 0.489
H 0.210 0.966 0.989
H 0.278 0.670 0.614
H 0.278 0.830 0.114
H 0.389 0.556 0.997
H 0.389 0.944 0.497
H 0.611 0.056 0.503
H 0.611 0.444 0.003
H 0.722 0.170 0.886
H 0.722 0.330 0.386
H 0.790 0.034 0.011
H 0.790 0.466 0.511
H 0.845 0.043 0.857
H 0.845 0.457 0.357
H 0.896 0.184 0.981
H 0.896 0.316 0.481
N 0.187 0.607 0.565
N 0.187 0.893 0.065
N 0.813 0.107 0.935
N 0.813 0.393 0.435
O 0.074 0.017 0.301
O 0.074 0.163 0.574
O 0.074 0.337 0.074
O 0.074 0.483 0.801
O 0.102 0.158 0.847
O 0.102 0.342 0.347
O 0.194 0.565 0.228
O 0.194 0.935 0.728
O 0.306 0.536 0.036
O 0.306 0.964 0.536
O 0.345 0.134 0.316
O 0.345 0.366 0.816
O 0.350 0.212 0.065
O 0.350 0.288 0.565
O 0.416 0.693 0.242
O 0.416 0.807 0.742
O 0.419 0.089 0.765
O 0.419 0.411 0.265
O 0.581 0.589 0.735
O 0.581 0.911 0.235
O 0.584 0.193 0.258
O 0.584 0.307 0.758
O 0.650 0.712 0.435
O 0.650 0.788 0.935
O 0.655 0.634 0.184
O 0.655 0.866 0.684
O 0.694 0.036 0.464
O 0.694 0.464 0.964
O 0.806 0.065 0.272
O 0.806 0.435 0.772
O 0.898 0.658 0.653
O 0.898 0.842 0.153
O 0.926 0.517 0.199
O 0.926 0.663 0.926
O 0.926 0.837 0.426
O 0.926 0.983 0.699

## Properties
Its space group is No. 14. The value obtained for the formation energy is -1999 meV/atom.

=====

Entry 2:
TmBrO: relaxed, GGA-PBE.

Lattice parameters (Å, degrees): 3.779 4.143 9.194 90.00 90.00 90.00
Atoms (fractional coordinates):
Tm 0.250 0.250 0.111
Tm 0.750 0.750 0.889
Br 0.250 0.750 0.664
Br 0.750 0.250 0.336
O 0.250 0.750 0.026
O 0.750 0.250 0.974

## Properties
Its space group is No. 59. The value obtained for the formation energy is -3175 meV/atom.

=====

Entry 3:
Mo2S3: relaxed, GGA-PBE.

Lattice parameters (Å, degrees): 6.170 3.210 8.706 90.00 102.96 90.00
Atoms (fractional coordinates):
Mo 0.107 0.250 0.126
Mo 0.313 0.250 0.509
Mo 0.687 0.750 0.491
Mo 0.893 0.750 0.874
S 0.026 0.750 0.342
S 0.273 0.750 0.987
S 0.493 0.750 0.696
S 0.507 0.250 0.304
S 0.727 0.250 0.013
S 0.974 0.250 0.658

## Properties
Its space group is No. 11. The value obtained for the formation energy is -986 meV/atom.

=====

Entry 4:
Hf9CoW4: relaxed, GGA-PBE.

Lattice parameters (Å, degrees): 8.692 8.692 8.472 90.00 90.00 120.00
Atoms (fractional coordinates):
Hf 0.084 0.542 0.250
Hf 0.201 0.403 0.559
Hf 0.201 0.403 0.941
Hf 0.201 0.799 0.559
Hf 0.201 0.799 0.941
Hf 0.403 0.201 0.059
Hf 0.403 0.201 0.441
Hf 0.458 0.542 0.250
Hf 0.458 0.916 0.250
Hf 0.542 0.084 0.750
Hf 0.542 0.458 0.750
Hf 0.597 0.799 0.559
Hf 0.597 0.799 0.941
Hf 0.799 0.201 0.059
Hf 0.799 0.201 0.441
Hf 0.799 0.597 0.059
Hf 0.799 0.597 0.441
Hf 0.916 0.458 0.750
Co 0.333 0.667 0.750
Co 0.667 0.333 0.250
W 0.000 0.000 0.000
W 0.000 0.000 0.500
W 0.112 0.225 0.250
W 0.112 0.888 0.250
W 0.225 0.112 0.750
W 0.775 0.888 0.250
W 0.888 0.112 0.750
W 0.888 0.775 0.750

## Properties
Its space group is No. 194. The value obtained for the formation energy is -150 meV/atom.

=====

Entry 5:
Rb2Mo9S11: relaxed, GGA-PBE.

Lattice parameters (Å, degrees): 13.249 13.249 13.249 42.00 42.00 42.00
Atoms (fractional coordinates):
Rb 0.051 0.051 0.051
Rb 0.449 0.449 0.449
Rb 0.551 0.551 0.551
Rb 0.949 0.949 0.949
Mo 0.029 0.354 0.178
Mo 0.084 0.250 0.416
Mo 0.146 0.471 0.322
Mo 0.178 0.029 0.354
Mo 0.250 0.416 0.084
Mo 0.322 0.146 0.471
Mo 0.354 0.178 0.029
Mo 0.416 0.084 0.250
Mo 0.471 0.322 0.146
Mo 0.529 0.678 0.854
Mo 0.584 0.916 0.750
Mo 0.646 0.822 0.971
Mo 0.678 0.854 0.529
Mo 0.750 0.584 0.916
Mo 0.822 0.971 0.646
Mo 0.854 0.529 0.678
Mo 0.916 0.750 0.584
Mo 0.971 0.646 0.822
S 0.018 0.289 0.617
S 0.050 0.450 0.750
S 0.117 0.789 0.518
S 0.136 0.136 0.136
S 0.211 0.482 0.883
S 0.250 0.950 0.550
S 0.289 0.617 0.018
S 0.364 0.364 0.364
S 0.383 0.982 0.711
S 0.450 0.750 0.050
S 0.482 0.883 0.211
S 0.518 0.117 0.789
S 0.550 0.250 0.950
S 0.617 0.018 0.289
S 0.636 0.636 0.636
S 0.711 0.383 0.982
S 0.750 0.050 0.450
S 0.789 0.518 0.117
S 0.864 0.864 0.864
S 0.883 0.211 0.482
S 0.950 0.550 0.250
S 0.982 0.711 0.383

## Properties
Its space group is No. 167. The value obtained for the formation energy is -1033 meV/atom.

=====

Entry 6:
SrLiSb: relaxed, GGA-PBE.

Lattice parameters (Å, degrees): 8.077 4.845 8.521 90.00 90.00 90.00
Atoms (fractional coordinates):
Sr 0.004 0.250 0.206
Sr 0.496 0.750 0.706
Sr 0.504 0.250 0.294
Sr 0.996 0.750 0.794
Li 0.158 0.250 0.575
Li 0.342 0.750 0.075
Li 0.658 0.250 0.925
Li 0.842 0.750 0.425
Sb 0.223 0.750 0.406
Sb 0.277 0.250 0.906
Sb 0.723 0.750 0.094
Sb 0.777 0.250 0.594

## Properties
Its space group is No. 62. The value obtained for the formation energy is -1020 meV/atom.

=====

Entry 7:
BaTi2As2O: relaxed, GGA-PBE.

Lattice parameters (Å, degrees): 4.065 4.065 7.367 90.00 90.00 90.00
Atoms (fractional coordinates):
Ba 0.000 0.000 0.000
Ti 0.000 0.500 0.500
Ti 0.500 0.000 0.500
As 0.500 0.500 0.257
As 0.500 0.500 0.743
O 0.000 0.000 0.500

## Properties
Its space group is No. 123. The value obtained for the formation energy is -1698 meV/atom.

=====

Entry 8:
Dy2AlGe2: relaxed, GGA-PBE.

Lattice parameters (Å, degrees): 7.019 7.019 4.314 90.00 90.00 90.00
Atoms (fractional coordinates):
Dy 0.176 0.324 0.000
Dy 0.324 0.824 0.000
Dy 0.676 0.176 0.000
Dy 0.824 0.676 0.000
Al 0.000 0.000 0.500
Al 0.500 0.500 0.500
Ge 0.129 0.629 0.500
Ge 0.371 0.129 0.500
Ge 0.629 0.871 0.500
Ge 0.871 0.371 0.500

## Properties
Its space group is No. 127. The value obtained for the formation energy is -724 meV/atom.

=====

Entry 9:
Zr5Sn4: relaxed, GGA-PBE.

Lattice parameters (Å, degrees): 8.859 8.859 5.979 90.00 90.00 120.00
Atoms (fractional coordinates):
Zr 0.000 0.281 0.250
Zr 0.000 0.719 0.750
Zr 0.281 0.000 0.250
Zr 0.281 0.281 0.750
Zr 0.333 0.667 0.000
Zr 0.333 0.667 0.500
Zr 0.667 0.333 0.000
Zr 0.667 0.333 0.500
Zr 0.719 0.000 0.750
Zr 0.719 0.719 0.250
Sn 0.000 0.000 0.000
Sn 0.000 0.000 0.500
Sn 0.000 0.386 0.750
Sn 0.000 0.614 0.250
Sn 0.386 0.000 0.750
Sn 0.386 0.386 0.250
Sn 0.614 0.000 0.250
Sn 0.614 0.614 0.750

## Properties
Its space group is No. 193. The value obtained for the formation energy is -593 meV/atom.

=====

Entry 10:
RuC4O4: relaxed, GGA-PBE.

Lattice parameters (Å, degrees): 8.589 8.589 8.589 130.52 65.69 139.65
Atoms (fractional coordinates):
Ru 0.000 0.000 0.000
Ru 0.500 0.500 0.000
C 0.056 0.754 0.810
C 0.123 0.112 0.235
C 0.377 0.612 0.989
C 0.444 0.254 0.697
C 0.556 0.746 0.303
C 0.623 0.388 0.011
C 0.877 0.888 0.765
C 0.944 0.246 0.190
O 0.090 0.607 0.697
O 0.196 0.179 0.376
O 0.304 0.679 0.983
O 0.410 0.107 0.517
O 0.590 0.893 0.483
O 0.696 0.321 0.017
O 0.804 0.821 0.624
O 0.910 0.393 0.303

## Properties
Its space group is No. 72. As for the energy above the most stable polymorph in this dataset: 0.00 eV/f.u. The value obtained for the formation energy is -960 meV/atom.

=====

Entry 11:
SmErTi2Fe16Co6: relaxed, GGA-PBE.

Lattice parameters (Å, degrees): 6.427 6.427 11.943 90.00 90.00 43.00
Atoms (fractional coordinates):
Sm 0.000 0.000 0.000
Er 0.500 0.500 0.500
Ti 0.309 0.309 0.311
Ti 0.809 0.809 0.808
Fe 0.107 0.107 0.388
Fe 0.113 0.113 0.612
Fe 0.249 0.749 0.746
Fe 0.250 0.748 0.249
Fe 0.384 0.384 0.883
Fe 0.386 0.386 0.109
Fe 0.497 0.998 0.499
Fe 0.498 0.997 0.999
Fe 0.609 0.609 0.885
Fe 0.615 0.615 0.116
Fe 0.748 0.250 0.249
Fe 0.749 0.249 0.746
Fe 0.886 0.886 0.386
Fe 0.887 0.887 0.606
Fe 0.997 0.498 0.999
Fe 0.998 0.497 0.499
Co 0.173 0.173 0.173
Co 0.179 0.179 0.818
Co 0.320 0.320 0.677
Co 0.672 0.672 0.671
Co 0.678 0.678 0.321
Co 0.819 0.819 0.180

## Properties
Its space group is No. 8. The value obtained for the formation energy is -92 meV/atom.

=====

Entry 12:
Na5Ti12O24: relaxed, GGA-PBE.

Lattice parameters (Å, degrees): 5.520 8.977 9.532 90.00 90.15 90.00
Atoms (fractional coordinates):
Na 0.000 0.000 0.000
Na 0.007 0.335 0.003
Na 0.007 0.665 0.003
Na 0.424 0.000 0.505
Na 0.504 0.500 0.459
Ti 0.448 0.000 0.838
Ti 0.455 0.334 0.832
Ti 0.455 0.666 0.832
Ti 0.474 0.171 0.128
Ti 0.474 0.829 0.128
Ti 0.482 0.500 0.126
Ti 0.947 0.173 0.626
Ti 0.947 0.827 0.626
Ti 0.957 0.500 0.628
Ti 0.972 0.000 0.336
Ti 0.979 0.325 0.343
Ti 0.979 0.675 0.343
O 0.122 0.500 0.443
O 0.145 0.170 0.445
O 0.145 0.830 0.445
O 0.157 0.332 0.709
O 0.157 0.668 0.709
O 0.163 0.000 0.707
O 0.261 0.336 0.204
O 0.261 0.664 0.204
O 0.263 0.000 0.207
O 0.282 0.167 0.943
O 0.282 0.833 0.943
O 0.286 0.500 0.939
O 0.621 0.000 0.022
O 0.627 0.331 0.014
O 0.627 0.669 0.014
O 0.661 0.162 0.756
O 0.661 0.500 0.751
O 0.661 0.838 0.756
O 0.764 0.500 0.253
O 0.776 0.168 0.248
O 0.776 0.832 0.248
O 0.782 0.329 0.519
O 0.782 0.671 0.519
O 0.806 0.000 0.520

## Properties
Its space group is No. 6. The value obtained for the formation energy is -3140 meV/atom.

=====

Please write out number 12 again, unchanged.
Na5Ti12O24: relaxed, GGA-PBE.

Lattice parameters (Å, degrees): 5.520 8.977 9.532 90.00 90.15 90.00
Atoms (fractional coordinates):
Na 0.000 0.000 0.000
Na 0.007 0.335 0.003
Na 0.007 0.665 0.003
Na 0.424 0.000 0.505
Na 0.504 0.500 0.459
Ti 0.448 0.000 0.838
Ti 0.455 0.334 0.832
Ti 0.455 0.666 0.832
Ti 0.474 0.171 0.128
Ti 0.474 0.829 0.128
Ti 0.482 0.500 0.126
Ti 0.947 0.173 0.626
Ti 0.947 0.827 0.626
Ti 0.957 0.500 0.628
Ti 0.972 0.000 0.336
Ti 0.979 0.325 0.343
Ti 0.979 0.675 0.343
O 0.122 0.500 0.443
O 0.145 0.170 0.445
O 0.145 0.830 0.445
O 0.157 0.332 0.709
O 0.157 0.668 0.709
O 0.163 0.000 0.707
O 0.261 0.336 0.204
O 0.261 0.664 0.204
O 0.263 0.000 0.207
O 0.282 0.167 0.943
O 0.282 0.833 0.943
O 0.286 0.500 0.939
O 0.621 0.000 0.022
O 0.627 0.331 0.014
O 0.627 0.669 0.014
O 0.661 0.162 0.756
O 0.661 0.500 0.751
O 0.661 0.838 0.756
O 0.764 0.500 0.253
O 0.776 0.168 0.248
O 0.776 0.832 0.248
O 0.782 0.329 0.519
O 0.782 0.671 0.519
O 0.806 0.000 0.520

## Properties
Its space group is No. 6. The value obtained for the formation energy is -3140 meV/atom.